First-principles (PBE+U) data for a relaxed VCu2HO5 crystal, as listed in Materials Project.

abc: 15.1658 6.1175 8.5918
angles: 90.00 90.00 90.00
Space group Pnma (No. 62)
Symmetry-distinct sites (fractional):
V1 0.0794 0.2500 0.1866 x4
V2 0.1540 0.7500 0.5280 x4
Cu1 0.0732 0.2500 0.5854 x4
Cu2 0.1378 0.5053 0.8698 x8
Cu3 0.2154 0.7500 0.1504 x4
H1 0.0021 0.2500 0.8551 x4
H2 0.2212 0.2500 0.3866 x4
O1 0.0325 0.7500 0.8273 x4
O2 0.0508 0.7500 0.4549 x4
O3 0.0631 0.2500 0.8154 x4
O4 0.1154 0.2500 0.3794 x4
O5 0.1212 0.0101 0.0965 x8
O6 0.1718 0.5069 0.6448 x8
O7 0.2151 0.7500 0.9227 x4
O8 0.2279 0.7500 0.3711 x4

## Properties
M_tot (μB/f.u.): 2.0
Excess energy over the best structure of this formula in the dataset (meV per atom): 5.7
Crystal system: orthorhombic
Energy of formation (eV per atom): -1.49